Density functional theory data (GGA-PBE) for a relaxed structure of La3I13O39.

Output
**DFT total energy**: -4.846 eV per atom
**Energy relative to the elements**: -65.71 eV per formula unit

Cell and atoms, written as POSCAR:
```
La3I13O39
1.0
11.227 6.482 4.628
-11.227 6.482 4.628
0.000 -12.964 4.628
La I O
6 26 78
Cartesian
-8.655 -3.361 6.941
-1.417 -3.788 4.628
-2.572 3.121 4.628
3.989 0.667 4.628
7.238 -5.815 6.941
1.417 9.176 6.941
-3.824 -0.808 3.662
-6.685 3.175 4.905
-3.253 -7.028 6.451
0.593 -7.377 4.905
-4.542 -3.307 7.219
2.612 -2.908 3.662
-6.768 -0.151 8.764
-6.994 -3.731 10.456
0.000 0.000 4.876
1.212 3.716 3.662
-4.460 6.331 6.451
-0.266 -5.042 8.142
-4.233 2.751 8.142
-2.612 -2.908 10.604
-0.593 5.587 7.219
3.514 -5.785 8.764
5.135 -2.280 7.219
6.092 4.202 4.905
-1.212 3.716 10.604
7.713 0.697 6.451
4.499 2.290 8.142
0.000 0.000 11.817
3.824 -0.808 10.604
3.253 5.936 8.764
6.728 -4.192 10.456
0.266 7.922 10.456
-1.050 -4.205 2.169
-8.300 -0.995 5.879
-6.372 0.340 4.327
-10.414 -1.910 8.017
-2.424 -1.924 3.310
-3.116 3.012 2.169
-6.182 -3.478 6.396
-4.855 -6.142 6.641
-0.079 -5.871 4.082
-0.968 -8.097 5.510
-5.045 3.004 4.082
-8.836 2.977 6.556
-3.552 -2.990 5.703
-7.860 -4.440 9.016
-2.840 0.675 4.091
-2.193 -5.514 6.409
-6.528 4.886 5.510
-7.548 -1.826 8.723
0.836 -2.797 4.091
-2.928 -7.477 8.193
2.892 -5.688 4.327
-0.455 3.061 3.310
-4.699 -1.596 7.824
1.840 -9.141 6.556
-0.929 -1.342 5.712
2.878 -1.137 3.310
-5.984 2.576 7.552
4.166 1.193 2.169
-5.243 -3.906 9.866
-0.085 -3.938 6.702
-3.368 2.042 6.702
0.761 -6.470 7.552
-0.698 1.475 5.712
-3.679 4.656 6.409
2.005 2.123 4.091
-2.391 -3.505 8.870
5.011 -6.690 5.879
1.627 -0.133 5.712
-0.813 4.572 5.703
-4.166 1.193 9.111
-5.011 6.274 8.193
-2.891 7.276 6.641
4.366 -1.581 5.703
-2.878 -1.137 10.252
1.050 -4.205 9.111
5.124 2.867 4.082
3.481 5.348 4.327
6.103 -3.615 6.396
3.732 -3.272 7.824
0.079 7.093 6.396
-1.840 3.823 8.870
6.861 -8.063 8.017
3.452 1.895 6.702
-0.836 -2.797 11.032
5.355 -5.624 8.723
0.968 4.868 7.824
5.872 0.858 6.409
-2.005 2.123 11.032
3.288 7.685 5.879
7.747 -1.134 6.641
2.424 -1.924 10.252
7.496 3.210 5.510
4.231 -0.318 8.870
-1.627 -0.133 12.654
0.455 3.061 10.252
-0.761 6.494 9.866
3.116 3.012 9.111
5.223 3.894 7.552
7.775 -4.587 9.016
0.085 9.027 9.016
6.005 -2.588 9.866
2.193 7.450 8.723
0.929 -1.342 12.654
2.840 0.675 11.032
6.996 6.164 6.556
7.939 1.203 8.193
0.698 1.475 12.654
3.552 9.974 8.017
```